A relaxed structure of Fe3C. Source: Materials Project, functional r²SCAN.

Properties
uncorrected energy	-0.4831	hartree per atom
crystal system	hexagonal
ΔE_f	0.15	eV per atom
calculated volume	10.2	Å³ per atom

abc: 4.6619 4.6619 4.3183
angles: 90.00 90.00 120.00
With the nearest neighbours (Å) after each atom.
Space group P6_322 (No. 182)
Inequivalent atoms, fractional coordinates:
1 Fe 0.0000 0.3162 0.0000 [6 per cell]  2 C 1.93
2 C 0.3333 0.6667 0.2500 [2 per cell]  6 Fe 1.93